# 1
Compound: MnGaO3
Source: the Materials Project
Functional: PBE+U
Structure: relaxed

Summary:
**Magnetization**: 0.800 μB per atom
**Formation enthalpy at 0 K**: -2.0607 eV/atom

abc: 3.2710 3.2710 11.8370
angles: 90.00 90.00 120.00
Space group P6_3/mmc (No. 194)
Symmetry-distinct sites (fractional):
Mn 0.0000 0.0000 0.0000 (multiplicity 2)
Ga 0.3333 0.6667 0.2500 (multiplicity 2)
O 0.0000 0.0000 0.2500 (multiplicity 2)
O 0.3333 0.6667 0.0799 (multiplicity 4)


# 2
Compound: KCaTbFeO6
Source: the Materials Project
Functional: PBE+U
Structure: relaxed

Summary:
**Magnetization**: 0.200 μB per atom
**Formation enthalpy at 0 K**: -2.2057 eV/atom

abc: 8.153 8.153 8.153
angles: 90.00 90.00 90.00
Space group F-43m (No. 216)
Symmetry-distinct sites (fractional):
K 0.000 0.000 0.000 (multiplicity 4)
Ca 0.000 0.000 0.500 (multiplicity 4)
Tb 0.250 0.250 0.250 (multiplicity 4)
Fe 0.250 0.250 0.750 (multiplicity 4)
O 0.021 0.250 0.750 (multiplicity 24)


# 3
Compound: Pr3Mn2Sb3O14
Source: the Materials Project
Functional: PBE+U
Structure: relaxed

Summary:
**Magnetization**: 0.454 μB per atom
**Formation enthalpy at 0 K**: -2.6840 eV/atom

abc: 7.6145 7.6145 17.8923
angles: 90.00 90.00 120.00
Space group R-3m (No. 166, hexagonal axes)
Symmetry-distinct sites (fractional):
Pr 0.0000 0.5000 0.0000 (multiplicity 9)
Mn 0.0000 0.0000 0.0000 (multiplicity 3)
Mn 0.0000 0.0000 0.5000 (multiplicity 3)
Sb 0.0000 0.5000 0.5000 (multiplicity 9)
O 0.0000 0.0000 0.3848 (multiplicity 6)
O 0.0372 0.5186 0.6092 (multiplicity 18)
O 0.0671 0.5335 0.8531 (multiplicity 18)


# 4
Compound: Li4V3OF11
Source: the Materials Project
Functional: PBE+U
Structure: relaxed

Summary:
**Magnetization**: 0.316 μB per atom
**Formation enthalpy at 0 K**: -3.1131 eV/atom
**Distance to the lowest polymorph of the same formula**: 22 kJ/mol of formula units

abc: 5.282 5.513 16.018
angles: 80.94 89.68 88.51
Space group P-1 (No. 2)
Symmetry-distinct sites (fractional):
Li 0.011 0.263 0.066 (multiplicity 2)
Li 0.202 0.356 0.321 (multiplicity 2)
Li 0.317 0.186 0.658 (multiplicity 2)
Li 0.482 0.773 0.064 (multiplicity 2)
V 0.000 0.000 0.500 (multiplicity 1)
V 0.012 0.307 0.837 (multiplicity 2)
V 0.481 0.841 0.835 (multiplicity 2)
V 0.500 0.500 0.500 (multiplicity 1)
O 0.189 0.008 0.868 (multiplicity 2)
F 0.080 0.379 0.717 (multiplicity 2)
F 0.087 0.062 0.383 (multiplicity 2)
F 0.128 0.671 0.048 (multiplicity 2)
F 0.192 0.355 0.189 (multiplicity 2)
F 0.196 0.688 0.520 (multiplicity 2)
F 0.298 0.191 0.535 (multiplicity 2)
F 0.308 0.507 0.874 (multiplicity 2)
F 0.328 0.840 0.184 (multiplicity 2)
F 0.369 0.180 0.048 (multiplicity 2)
F 0.424 0.545 0.381 (multiplicity 2)
F 0.425 0.869 0.715 (multiplicity 2)


# 5
Compound: Li9Mn2Co5O16
Source: the Materials Project
Functional: PBE+U
Structure: relaxed

Summary:
**Magnetization**: 0.249 μB per atom
**Formation enthalpy at 0 K**: -1.8043 eV/atom
**Distance to the lowest polymorph of the same formula**: 185 kJ/mol of formula units

abc: 12.917 2.901 15.398
angles: 90.00 92.29 90.00
Space group Cm (No. 8)
Symmetry-distinct sites (fractional):
Li 0.000 0.000 0.000 (multiplicity 2)
Li 0.000 0.500 0.485 (multiplicity 2)
Li 0.122 0.000 0.368 (multiplicity 2)
Li 0.127 0.500 0.879 (multiplicity 2)
Li 0.251 0.000 0.749 (multiplicity 2)
Li 0.255 0.500 0.241 (multiplicity 2)
Li 0.376 0.000 0.123 (multiplicity 2)
Li 0.376 0.500 0.620 (multiplicity 2)
Li 0.440 0.000 0.310 (multiplicity 2)
Mn 0.066 0.500 0.684 (multiplicity 2)
Mn 0.319 0.500 0.430 (multiplicity 2)
Co 0.051 0.000 0.189 (multiplicity 2)
Co 0.188 0.000 0.555 (multiplicity 2)
Co 0.189 0.500 0.061 (multiplicity 2)
Co 0.312 0.000 0.932 (multiplicity 2)
Co 0.438 0.500 0.811 (multiplicity 2)
O 0.037 0.000 0.602 (multiplicity 2)
O 0.039 0.500 0.099 (multiplicity 2)
O 0.094 0.000 0.766 (multiplicity 2)
O 0.094 0.500 0.266 (multiplicity 2)
O 0.161 0.000 0.971 (multiplicity 2)
O 0.166 0.500 0.466 (multiplicity 2)
O 0.210 0.500 0.649 (multiplicity 2)
O 0.217 0.000 0.145 (multiplicity 2)
O 0.282 0.500 0.842 (multiplicity 2)
O 0.286 0.000 0.352 (multiplicity 2)
O 0.339 0.000 0.519 (multiplicity 2)
O 0.340 0.500 0.020 (multiplicity 2)
O 0.415 0.500 0.212 (multiplicity 2)
O 0.421 0.000 0.717 (multiplicity 2)
O 0.457 0.500 0.406 (multiplicity 2)
O 0.465 0.000 0.896 (multiplicity 2)